# 1
First-principles (PBE) data for Na6CaTi3Si4S2O24 after structural relaxation, as listed in the Materials Project database.

Summary:
- Formation energy: -2798.7 meV per atom
- Corrected total energy (MP2020 scheme): -882.899 eV for the cell shown
- Raw total energy: -6.945 eV per atom
- Crystal system: triclinic

Cell and atoms, written as CIF:
```
data_Na6CaTi3Si4S2O24
_symmetry_space_group_name_H-M 'P 1'
_symmetry_Int_Tables_number 1
_symmetry_space_group_name_Hall 'P 1'
_cell_length_a 9.047
_cell_length_b 9.055
_cell_length_c 22.471
_cell_angle_alpha 89.39
_cell_angle_beta 89.61
_cell_angle_gamma 60.17
loop_
_atom_site_label
_atom_site_fract_x
_atom_site_fract_y
_atom_site_fract_z
Na1 0.000 0.000 0.000
Na2 0.000 0.052 0.671
Na3 0.000 0.692 0.170
Na4 0.292 0.037 0.162
Na5 0.295 0.393 0.672
Na6 0.320 0.715 0.081
Na7 0.328 0.342 0.340
Na8 0.329 0.715 0.580
Na9 0.360 0.383 0.000
Na10 0.608 0.744 0.000
Na11 0.652 0.047 0.913
Na12 0.657 0.048 0.421
Na13 0.667 0.396 0.174
Na14 0.670 0.685 0.672
Na15 0.930 0.090 0.334
Na16 0.957 0.404 0.255
Na17 0.986 0.380 0.754
Na18 0.986 0.749 0.508
Ca1 0.321 0.711 0.937
Ca2 0.656 0.043 0.766
Ca3 0.667 0.031 0.273
Ti1 0.004 0.360 0.603
Ti2 0.313 0.695 0.441
Ti3 0.319 0.711 0.726
Ti4 0.326 0.706 0.235
Ti5 0.648 0.067 0.568
Ti6 0.673 0.018 0.062
Ti7 0.977 0.374 0.101
Ti8 0.981 0.378 0.401
Ti9 0.991 0.375 0.905
Si1 0.035 0.700 0.338
Si2 0.283 0.096 0.005
Si3 0.285 0.363 0.500
Si4 0.365 0.045 0.667
Si5 0.612 0.432 0.339
Si6 0.657 0.740 0.167
Si7 0.661 0.342 0.668
Si8 0.704 0.364 0.002
Si9 0.947 0.745 0.665
Si10 0.953 0.044 0.169
Si11 0.985 0.660 0.004
Si12 0.988 0.084 0.501
S1 0.027 0.017 0.835
S2 0.310 0.417 0.836
S3 0.311 0.999 0.337
S4 0.356 0.344 0.168
S5 0.630 0.697 0.835
S6 0.697 0.667 0.501
O1 0.000 0.551 0.064
O2 0.005 0.185 0.557
O3 0.022 0.186 0.835
O4 0.032 0.520 0.340
O5 0.106 0.927 0.891
O6 0.134 0.918 0.782
O7 0.139 0.733 0.679
O8 0.141 0.866 0.175
O9 0.142 0.711 0.396
O10 0.146 0.689 0.003
O11 0.147 0.409 0.835
O12 0.149 0.168 0.337
O13 0.158 0.400 0.557
O14 0.158 0.892 0.495
O15 0.159 0.684 0.278
O16 0.164 0.195 0.654
O17 0.168 0.194 0.063
O18 0.179 0.372 0.163
O19 0.182 0.351 0.441
O20 0.183 0.220 0.946
O21 0.300 0.540 0.496
O22 0.300 0.915 0.280
O23 0.302 0.524 0.782
O24 0.302 0.910 0.003
O25 0.320 0.495 0.891
O26 0.325 0.897 0.389
O27 0.346 0.515 0.172
O28 0.348 0.868 0.678
O29 0.412 0.117 0.723
O30 0.427 0.245 0.224
O31 0.455 0.031 0.334
O32 0.460 0.246 0.833
O33 0.463 0.259 0.116
O34 0.470 0.085 0.009
O35 0.473 0.196 0.508
O36 0.479 0.730 0.173
O37 0.480 0.528 0.679
O38 0.488 0.547 0.394
O39 0.501 0.002 0.611
O40 0.517 0.544 0.276
O41 0.519 0.531 0.003
O42 0.524 0.690 0.495
O43 0.531 0.689 0.782
O44 0.541 0.705 0.891
O45 0.612 0.252 0.612
O46 0.616 0.252 0.340
O47 0.624 0.870 0.108
O48 0.650 0.848 0.833
O49 0.691 0.833 0.501
O50 0.694 0.188 0.009
O51 0.710 0.812 0.222
O52 0.732 0.216 0.723
O53 0.775 0.569 0.555
O54 0.799 0.535 0.835
O55 0.801 0.384 0.061
O56 0.806 0.405 0.343
O57 0.807 0.850 0.006
O58 0.809 0.389 0.651
O59 0.809 0.573 0.448
O60 0.819 0.060 0.507
O61 0.820 0.545 0.159
O62 0.826 0.802 0.721
O63 0.832 0.337 0.945
O64 0.837 0.106 0.228
O65 0.851 0.011 0.112
O66 0.856 0.037 0.833
O67 0.859 0.875 0.341
O68 0.865 0.878 0.607
O69 0.954 0.567 0.946
O70 0.966 0.206 0.441
O71 0.992 0.548 0.652
O72 0.994 0.201 0.158
```

---

# 2
First-principles (PBE) data for Na7CaY3Si3S3O24 after structural relaxation, as listed in the Materials Project database.

Summary:
- Formation energy: -2766.4 meV per atom
- Corrected total energy (MP2020 scheme): -874.569 eV for the cell shown
- Raw total energy: -6.708 eV per atom
- Crystal system: triclinic

Cell and atoms, written as CIF:
```
data_Na7CaY3Si3S3O24
_symmetry_space_group_name_H-M 'P 1'
_symmetry_Int_Tables_number 1
_symmetry_space_group_name_Hall 'P 1'
_cell_length_a 9.460
_cell_length_b 9.467
_cell_length_c 23.556
_cell_angle_alpha 90.13
_cell_angle_beta 90.08
_cell_angle_gamma 119.75
loop_
_atom_site_label
_atom_site_fract_x
_atom_site_fract_y
_atom_site_fract_z
Na1 0.000 0.000 0.000
Na2 0.001 0.723 0.159
Na3 0.256 0.661 0.989
Na4 0.275 0.967 0.079
Na5 0.292 0.631 0.334
Na6 0.299 0.321 0.495
Na7 0.310 0.320 0.157
Na8 0.320 0.012 0.566
Na9 0.333 0.385 0.815
Na10 0.337 0.673 0.657
Na11 0.587 0.328 0.654
Na12 0.600 0.943 0.162
Na13 0.610 0.635 0.746
Na14 0.639 0.985 0.824
Na15 0.659 0.675 0.241
Na16 0.688 0.387 0.337
Na17 0.927 0.610 0.837
Na18 0.939 0.962 0.317
Na19 0.950 0.358 0.905
Na20 0.963 0.350 0.415
Na21 0.994 0.638 0.480
Ca1 0.291 0.980 0.223
Ca2 0.634 0.652 0.397
Ca3 0.639 0.646 0.891
Y1 0.305 0.000 0.724
Y2 0.309 0.978 0.426
Y3 0.310 0.990 0.920
Y4 0.624 0.651 0.586
Y5 0.651 0.664 0.089
Y6 0.973 0.338 0.058
Y7 0.974 0.320 0.556
Y8 0.982 0.333 0.757
Y9 0.984 0.337 0.253
Si1 0.277 0.324 0.656
Si2 0.282 0.630 0.155
Si3 0.305 0.692 0.821
Si4 0.326 0.655 0.490
Si5 0.607 0.291 0.821
Si6 0.636 0.352 0.489
Si7 0.950 0.664 0.988
Si8 0.969 0.029 0.155
Si9 0.994 0.685 0.322
S1 0.006 0.994 0.824
S2 0.303 0.289 0.322
S3 0.332 0.355 0.990
S4 0.608 0.997 0.320
S5 0.639 0.957 0.989
S6 0.671 0.325 0.158
S7 0.672 0.025 0.659
S8 0.939 0.959 0.488
S9 0.970 0.623 0.656
O1 0.078 0.789 0.264
O2 0.089 0.971 0.775
O3 0.104 0.974 0.485
O4 0.105 0.020 0.876
O5 0.112 0.778 0.377
O6 0.122 0.782 0.661
O7 0.132 0.835 0.990
O8 0.140 0.022 0.156
O9 0.141 0.507 0.819
O10 0.147 0.486 0.494
O11 0.148 0.297 0.319
O12 0.162 0.538 0.101
O13 0.166 0.338 0.995
O14 0.171 0.314 0.600
O15 0.187 0.343 0.713
O16 0.194 0.518 0.212
O17 0.278 0.777 0.878
O18 0.288 0.190 0.373
O19 0.288 0.808 0.490
O20 0.308 0.168 0.657
O21 0.309 0.189 0.986
O22 0.312 0.815 0.157
O23 0.316 0.799 0.765
O24 0.325 0.214 0.271
O25 0.407 0.636 0.431
O26 0.409 0.455 0.940
O27 0.430 0.436 0.042
O28 0.438 0.675 0.546
O29 0.443 0.457 0.327
O30 0.458 0.633 0.150
O31 0.459 0.182 0.485
O32 0.459 0.496 0.655
O33 0.472 0.681 0.824
O34 0.489 0.971 0.987
O35 0.498 0.206 0.763
O36 0.504 0.007 0.660
O37 0.509 0.180 0.163
O38 0.510 0.173 0.874
O39 0.516 0.981 0.268
O40 0.522 0.017 0.370
O41 0.615 0.446 0.546
O42 0.618 0.854 0.040
O43 0.623 0.848 0.326
O44 0.631 0.475 0.823
O45 0.654 0.861 0.653
O46 0.655 0.472 0.151
O47 0.657 0.879 0.938
O48 0.672 0.459 0.432
O49 0.753 0.302 0.108
O50 0.756 0.130 0.610
O51 0.762 0.103 0.712
O52 0.772 0.351 0.209
O53 0.774 0.144 0.319
O54 0.787 0.119 0.996
O55 0.787 0.300 0.818
O56 0.799 0.335 0.498
O57 0.809 0.842 0.153
O58 0.812 0.669 0.325
O59 0.825 0.642 0.651
O60 0.842 0.851 0.829
O61 0.848 0.889 0.435
O62 0.854 0.854 0.537
O63 0.855 0.654 0.930
O64 0.855 0.679 0.044
O65 0.941 0.113 0.212
O66 0.946 0.521 0.708
O67 0.963 0.125 0.495
O68 0.977 0.133 0.098
O69 0.977 0.500 0.321
O70 0.979 0.505 0.991
O71 0.988 0.538 0.606
O72 0.991 0.143 0.817
```